Entry 1:
# GGA-PBE Rb2TbAgCl6, optimized geometry
data_Rb2TbAgCl6
_cell_length_a 7.6356
_cell_length_b 7.6356
_cell_length_c 7.6356
_cell_angle_alpha 60.00
_cell_angle_beta 60.00
_cell_angle_gamma 60.00
_symmetry_space_group_name_H-M 'P 1'
_symmetry_Int_Tables_number 1
loop_
_symmetry_equiv_pos_as_xyz
'x,y,z'
loop_
_atom_site_label
_atom_site_fract_x
_atom_site_fract_y
_atom_site_fract_z
Rb1 0.7500 0.7500 0.7500
Rb2 0.2500 0.2500 0.2500
Tb1 0.0000 0.0000 0.0000
Ag1 0.5000 0.5000 0.5000
Cl1 0.7548 0.2452 0.2452
Cl2 0.2452 0.2452 0.7548
Cl3 0.2452 0.7548 0.7548
Cl4 0.2452 0.7548 0.2452
Cl5 0.7548 0.2452 0.7548
Cl6 0.7548 0.7548 0.2452
# Space group: No. 225

***

Entry 2:
# GGA-PBE AgBiSe2, optimized geometry
data_AgBiSe2
_cell_length_a 4.2002
_cell_length_b 4.2002
_cell_length_c 7.0608
_cell_angle_alpha 72.70
_cell_angle_beta 72.70
_cell_angle_gamma 60.00
_symmetry_space_group_name_H-M 'P 1'
_symmetry_Int_Tables_number 1
loop_
_symmetry_equiv_pos_as_xyz
'x,y,z'
loop_
_atom_site_label
_atom_site_fract_x
_atom_site_fract_y
_atom_site_fract_z
Ag1 0.0000 0.0000 0.0000
Bi1 0.5000 0.5000 0.5000
Se1 0.2542 0.2542 0.2375
Se2 0.7458 0.7458 0.7625
# Space group: No. 166

***

Entry 3:
# GGA-PBE PdPt, optimized geometry
data_PdPt
_cell_length_a 4.8635
_cell_length_b 4.8635
_cell_length_c 4.8635
_cell_angle_alpha 33.34
_cell_angle_beta 33.34
_cell_angle_gamma 33.34
_symmetry_space_group_name_H-M 'P 1'
_symmetry_Int_Tables_number 1
loop_
_symmetry_equiv_pos_as_xyz
'x,y,z'
loop_
_atom_site_label
_atom_site_fract_x
_atom_site_fract_y
_atom_site_fract_z
Pd1 0.0000 0.0000 0.0000
Pt1 0.5000 0.5000 0.5000
# Space group: No. 166

***

Entry 4:
# GGA-PBE UMn3, optimized geometry
data_UMn3
_cell_length_a 3.8157
_cell_length_b 3.8157
_cell_length_c 3.8157
_cell_angle_alpha 90.00
_cell_angle_beta 90.00
_cell_angle_gamma 90.00
_symmetry_space_group_name_H-M 'P 1'
_symmetry_Int_Tables_number 1
loop_
_symmetry_equiv_pos_as_xyz
'x,y,z'
loop_
_atom_site_label
_atom_site_fract_x
_atom_site_fract_y
_atom_site_fract_z
U1 0.0000 0.0000 0.0000
Mn1 0.0000 0.5000 0.5000
Mn2 0.5000 0.0000 0.5000
Mn3 0.5000 0.5000 0.0000
# Space group: No. 221

***

Entry 5:
# GGA-PBE NdSiGe, optimized geometry
data_NdSiGe
_cell_length_a 8.2193
_cell_length_b 8.2193
_cell_length_c 8.2193
_cell_angle_alpha 150.87
_cell_angle_beta 150.75
_cell_angle_gamma 41.75
_symmetry_space_group_name_H-M 'P 1'
_symmetry_Int_Tables_number 1
loop_
_symmetry_equiv_pos_as_xyz
'x,y,z'
loop_
_atom_site_label
_atom_site_fract_x
_atom_site_fract_y
_atom_site_fract_z
Nd1 0.6295 0.3795 0.2500
Nd2 0.3705 0.6205 0.7500
Si1 0.2135 0.9635 0.2500
Si2 0.7865 0.0365 0.7500
Ge1 0.0495 0.7995 0.2500
Ge2 0.9505 0.2005 0.7500
# Space group: No. 74

***

Entry 6:
# GGA-PBE Na3Ag, optimized geometry
data_Na3Ag
_cell_length_a 5.3751
_cell_length_b 5.3751
_cell_length_c 5.3751
_cell_angle_alpha 60.00
_cell_angle_beta 60.00
_cell_angle_gamma 60.00
_symmetry_space_group_name_H-M 'P 1'
_symmetry_Int_Tables_number 1
loop_
_symmetry_equiv_pos_as_xyz
'x,y,z'
loop_
_atom_site_label
_atom_site_fract_x
_atom_site_fract_y
_atom_site_fract_z
Na1 0.2500 0.2500 0.2500
Na2 0.7500 0.7500 0.7500
Na3 0.5000 0.5000 0.5000
Ag1 0.0000 0.0000 0.0000
# Space group: No. 225

***

Entry 7:
# GGA-PBE TiBr3, optimized geometry
data_TiBr3
_cell_length_a 7.6388
_cell_length_b 7.6388
_cell_length_c 7.6388
_cell_angle_alpha 50.21
_cell_angle_beta 50.21
_cell_angle_gamma 50.21
_symmetry_space_group_name_H-M 'P 1'
_symmetry_Int_Tables_number 1
loop_
_symmetry_equiv_pos_as_xyz
'x,y,z'
loop_
_atom_site_label
_atom_site_fract_x
_atom_site_fract_y
_atom_site_fract_z
Ti1 0.3334 0.3334 0.3334
Ti2 0.6666 0.6666 0.6666
Br1 0.4265 0.7246 0.0750
Br2 0.2754 0.9250 0.5735
Br3 0.5735 0.2754 0.9250
Br4 0.0750 0.4265 0.7246
Br5 0.9250 0.5735 0.2754
Br6 0.7246 0.0750 0.4265
# Space group: No. 148

***

Entry 8:
# GGA-PBE SiC, optimized geometry
data_SiC
_cell_length_a 3.0920
_cell_length_b 3.0920
_cell_length_c 5.0733
_cell_angle_alpha 90.00
_cell_angle_beta 90.00
_cell_angle_gamma 120.00
_symmetry_space_group_name_H-M 'P 1'
_symmetry_Int_Tables_number 1
loop_
_symmetry_equiv_pos_as_xyz
'x,y,z'
loop_
_atom_site_label
_atom_site_fract_x
_atom_site_fract_y
_atom_site_fract_z
Si1 0.3333 0.6667 0.5004
Si2 0.6667 0.3333 0.0004
C1 0.3333 0.6667 0.1246
C2 0.6667 0.3333 0.6246
# Space group: No. 186
# Energy above the lowest structure with this stoichiometry in eV/atom: 0.0038
# Largest piezoelectric modulus in C/m2: 0.32

***

The records above give, respectively, formation energy values of -210.2 -48.1 -4.3 12.7 -57.6 0.7 -156.5 -19.3 kJ per mole of atoms.